The following is a GGA+U calculation of a relaxed structure of MnZn2SiO6, from the Materials Project.

abc: 11.528 5.220 8.001
angles: 90.00 98.66 90.00
Space group P2_1/c (No. 14)
One atom of each set of equivalent atoms:
Mn 0.040 0.243 0.064 (multiplicity 4)
Zn 0.228 0.587 0.866 (multiplicity 4)
Zn 0.420 0.578 0.222 (multiplicity 4)
Si 0.317 0.092 0.051 (multiplicity 4)
O 0.030 0.063 0.859 (multiplicity 4)
O 0.100 0.563 0.998 (multiplicity 4)
O 0.198 0.093 0.145 (multiplicity 4)
O 0.297 0.569 0.374 (multiplicity 4)
O 0.355 0.112 0.517 (multiplicity 4)
O 0.423 0.547 0.682 (multiplicity 4)

## Properties
Mass density: 4.32 g/cm3
Raw total energy: -6.28 eV per atom
DFT formation energy: -21.79 eV/f.u.



The following is a GGA+U calculation of a relaxed structure of BaAlCuWO5, from the Materials Project.

abc: 3.992 3.992 8.907
angles: 90.00 90.00 90.00
Space group P4mm (No. 99)
One atom of each set of equivalent atoms:
Ba 0.000 0.000 0.000 (multiplicity 1)
Al 0.000 0.000 0.425 (multiplicity 1)
Cu 0.500 0.500 0.412 (multiplicity 1)
W 0.500 0.500 0.760 (multiplicity 1)
O 0.000 0.500 0.405 (multiplicity 2)
O 0.000 0.500 0.756 (multiplicity 2)
O 0.500 0.500 0.991 (multiplicity 1)

## Properties
Mass density: 5.75 g/cm3
Distance to the lowest polymorph of the same formula: 0.39 eV per formula unit
Raw total energy: -6.30 eV per atom
DFT formation energy: -17.12 eV/f.u.



The following is a GGA+U calculation of a relaxed structure of BaLaNbCrO6, from the Materials Project.

abc: 8.100 8.100 8.100
angles: 90.00 90.00 90.00
Space group F-43m (No. 216)
One atom of each set of equivalent atoms:
Ba 0.000 0.000 0.000 (multiplicity 4)
La 0.000 0.000 0.500 (multiplicity 4)
Nb 0.250 0.250 0.250 (multiplicity 4)
Cr 0.250 0.250 0.750 (multiplicity 4)
O 0.002 0.250 0.750 (multiplicity 24)

## Properties
Mass density: 6.46 g/cm3
Distance to the lowest polymorph of the same formula: 0.00 eV per formula unit
Raw total energy: -8.08 eV per atom
DFT formation energy: -30.67 eV/f.u.



The following is a GGA+U calculation of a relaxed structure of LiMn3Al2H6O12, from the Materials Project.

abc: 5.883 7.950 10.129
angles: 97.22 106.72 100.92
Space group P-1 (No. 2)
One atom of each set of equivalent atoms:
Li 0.158 0.155 0.000 (multiplicity 2)
Mn 0.000 0.500 0.500 (multiplicity 1)
Mn 0.171 0.165 0.506 (multiplicity 2)
Mn 0.329 0.835 0.494 (multiplicity 2)
Mn 0.500 0.500 0.500 (multiplicity 1)
Al 0.000 0.500 0.000 (multiplicity 1)
Al 0.332 0.840 0.001 (multiplicity 2)
Al 0.500 0.500 0.000 (multiplicity 1)
H 0.047 0.330 0.204 (multiplicity 2)
H 0.109 0.349 0.796 (multiplicity 2)
H 0.247 0.983 0.209 (multiplicity 2)
H 0.283 0.000 0.791 (multiplicity 2)
H 0.396 0.664 0.212 (multiplicity 2)
H 0.430 0.674 0.801 (multiplicity 2)
O 0.004 0.282 0.613 (multiplicity 2)
O 0.014 0.688 0.899 (multiplicity 2)
O 0.166 0.964 0.601 (multiplicity 2)
O 0.169 0.354 0.403 (multiplicity 2)
O 0.170 0.384 0.899 (multiplicity 2)
O 0.185 0.954 0.107 (multiplicity 2)
O 0.331 0.644 0.596 (multiplicity 2)
O 0.335 0.035 0.400 (multiplicity 2)
O 0.338 0.631 0.107 (multiplicity 2)
O 0.345 0.020 0.894 (multiplicity 2)
O 0.483 0.692 0.903 (multiplicity 2)
O 0.496 0.719 0.386 (multiplicity 2)

## Properties
Mass density: 3.22 g/cm3
Distance to the lowest polymorph of the same formula: 0.43 eV per formula unit
Raw total energy: -6.34 eV per atom
DFT formation energy: -48.75 eV/f.u.



mass density of number 3 (BaLaNbCrO6)?
6.46 g/cm3



Number 2 is which compound?
BaAlCuWO5



Which of these has the highest raw total energy?
MnZn2SiO6